1.
Density functional theory data (PBE+U) for crystalline Ba6Na2Ta2V2O17 at its relaxed geometry.

a = 6.0010 Å, b = 6.0010 Å, c = 30.4465 Å
α = 90.00°, β = 90.00°, γ = 120.00°
Closest atoms and distances in Å follow each position.
Element x y z (fractional)
1 Ba 0.0000 0.0000 0.0000  6 O 2.86
2 Ba 0.0000 0.0000 0.2500  12 O 3.01-3.05
3 Ba 0.0000 0.0000 0.5000  6 O 2.86
4 Ba 0.0000 0.0000 0.7500  12 O 3.01-3.05
5 Ba 0.3333 0.6667 0.0907  4 O 2.62-2.92
6 Ba 0.3333 0.6667 0.4093  4 O 2.62-2.92
7 Ba 0.3333 0.6667 0.6803  9 O 2.85-3.02
8 Ba 0.3333 0.6667 0.8197  9 O 2.85-3.02
9 Ba 0.6667 0.3333 0.1803  9 O 2.85-3.02
10 Ba 0.6667 0.3333 0.3197  9 O 2.85-3.02
11 Ba 0.6667 0.3333 0.5907  4 O 2.62-2.92
12 Ba 0.6667 0.3333 0.9093  4 O 2.62-2.92
13 Na 0.0000 0.0000 0.1247  6 O 2.29-2.42
14 Na 0.0000 0.0000 0.3753  6 O 2.29-2.42
15 Na 0.0000 0.0000 0.6247  6 O 2.29-2.42
16 Na 0.0000 0.0000 0.8753  6 O 2.29-2.42
17 Ta 0.3333 0.6667 0.2017  3 O 1.90
18 Ta 0.3333 0.6667 0.2983  3 O 1.90
19 Ta 0.6667 0.3333 0.7017  3 O 1.90
20 Ta 0.6667 0.3333 0.7983  3 O 1.90
21 V 0.3333 0.6667 0.5522  4 O 1.72-1.75
22 V 0.3333 0.6667 0.9478  4 O 1.72-1.75
23 V 0.6667 0.3333 0.0522  4 O 1.72-1.75
24 V 0.6667 0.3333 0.4478  4 O 1.72-1.75
25 O 0.0329 0.5164 0.2500  2 Ta 2.15
26 O 0.1756 0.3512 0.1698  1 Ta 1.90
27 O 0.1756 0.3512 0.3302  1 Ta 1.90
28 O 0.1759 0.3517 0.5724  1 V 1.75
29 O 0.1759 0.3517 0.9276  1 V 1.75
30 O 0.1756 0.8244 0.1698  1 Ta 1.90
31 O 0.1756 0.8244 0.3302  1 Ta 1.90
32 O 0.1759 0.8241 0.5724  1 V 1.75
33 O 0.1759 0.8241 0.9276  1 V 1.75
34 O 0.3333 0.6667 0.0045  1 V 1.72
35 O 0.3333 0.6667 0.4955  1 V 1.72
36 O 0.3512 0.1756 0.6698  1 Ta 1.90
37 O 0.3512 0.1756 0.8302  1 Ta 1.90
38 O 0.3517 0.1759 0.0724  1 V 1.75
39 O 0.3517 0.1759 0.4276  1 V 1.75
40 O 0.4836 0.5164 0.2500  2 Ta 2.15
41 O 0.4836 0.9671 0.2500  2 Ta 2.15
42 O 0.5164 0.0329 0.7500  2 Ta 2.15
43 O 0.5164 0.4836 0.7500  2 Ta 2.15
44 O 0.6483 0.8241 0.5724  1 V 1.75
45 O 0.6483 0.8241 0.9276  1 V 1.75
46 O 0.6488 0.8244 0.1698  1 Ta 1.90
47 O 0.6488 0.8244 0.3302  1 Ta 1.90
48 O 0.6667 0.3333 0.5045  1 V 1.72
49 O 0.6667 0.3333 0.9955  1 V 1.72
50 O 0.8241 0.1759 0.0724  1 V 1.75
51 O 0.8241 0.1759 0.4276  1 V 1.75
52 O 0.8244 0.1756 0.6698  1 Ta 1.90
53 O 0.8244 0.1756 0.8302  1 Ta 1.90
54 O 0.8241 0.6483 0.0724  1 V 1.75
55 O 0.8241 0.6483 0.4276  1 V 1.75
56 O 0.8244 0.6488 0.6698  1 Ta 1.90
57 O 0.8244 0.6488 0.8302  1 Ta 1.90
58 O 0.9671 0.4836 0.7500  2 Ta 2.15

## Properties
Energy with MP2020 corrections, eV/atom: -7.911
Formation energy, eV per atom: -3.078
VASP energy, eV/atom: -7.3907
Total moment, μB/f.u.: 0.000
Space-group type: P6_3/mmc (194)

=====

2.
Density functional theory data (PBE+U) for crystalline Fe4P3O15 at its relaxed geometry.

a = 10.6580 Å, b = 10.6580 Å, c = 7.2654 Å
α = 100.30°, β = 100.30°, γ = 41.42°
Closest atoms and distances in Å follow each position.
Element x y z (fractional)
1 Fe 0.1559 0.6818 0.8467  5 O 1.92-2.04
2 Fe 0.3160 0.3444 0.1458  6 O 1.91-2.14
3 Fe 0.3182 0.8441 0.6533  5 O 1.92-2.04
4 Fe 0.3444 0.3160 0.6458  6 O 1.91-2.14
5 Fe 0.6556 0.6840 0.3542  6 O 1.91-2.14
6 Fe 0.6818 0.1559 0.3467  5 O 1.92-2.04
7 Fe 0.6840 0.6556 0.8542  6 O 1.91-2.14
8 Fe 0.8441 0.3182 0.1533  5 O 1.92-2.04
9 P 0.0371 0.3005 0.5874  4 O 1.53-1.58
10 P 0.3005 0.0371 0.0874  4 O 1.53-1.58
11 P 0.3787 0.6213 0.2500  4 O 1.54
12 P 0.6213 0.3787 0.7500  4 O 1.54
13 P 0.6995 0.9629 0.9126  4 O 1.53-1.58
14 P 0.9629 0.6995 0.4126  4 O 1.53-1.58
15 O 0.0709 0.5621 0.2402  1 P 1.54
16 O 0.1102 0.1161 0.1040  1 P 1.53
17 O 0.1144 0.6046 0.5856  1 P 1.58
18 O 0.1161 0.1102 0.6040  1 P 1.53
19 O 0.1522 0.8478 0.7500  2 Fe 1.99
20 O 0.1931 0.2760 0.5571  1 P 1.53
21 O 0.2356 0.4531 0.9028  3 Fe 1.97-2.06
22 O 0.2400 0.7275 0.0778  1 P 1.54
23 O 0.2725 0.7600 0.4222  1 P 1.54
24 O 0.2760 0.1931 0.0571  1 P 1.53
25 O 0.3954 0.8856 0.9144  1 P 1.58
26 O 0.4372 0.4382 0.2514  1 P 1.54
27 O 0.4382 0.4372 0.7514  1 P 1.54
28 O 0.4379 0.9291 0.2598  1 P 1.54
29 O 0.4531 0.2356 0.4028  3 Fe 1.97-2.06
30 O 0.5469 0.7644 0.5972  3 Fe 1.97-2.06
31 O 0.5621 0.0709 0.7402  1 P 1.54
32 O 0.5618 0.5628 0.2486  1 P 1.54
33 O 0.5628 0.5618 0.7486  1 P 1.54
34 O 0.6046 0.1144 0.0856  1 P 1.58
35 O 0.7240 0.8069 0.9429  1 P 1.53
36 O 0.7275 0.2400 0.5778  1 P 1.54
37 O 0.7600 0.2725 0.9222  1 P 1.54
38 O 0.7644 0.5469 0.0972  3 Fe 1.97-2.06
39 O 0.8069 0.7240 0.4429  1 P 1.53
40 O 0.8478 0.1522 0.2500  2 Fe 1.99
41 O 0.8839 0.8898 0.3960  1 P 1.53
42 O 0.8856 0.3954 0.4144  1 P 1.58
43 O 0.8898 0.8839 0.8960  1 P 1.53
44 O 0.9291 0.4379 0.7598  1 P 1.54

## Properties
Energy with MP2020 corrections, eV/atom: -7.628
Formation energy, eV per atom: -1.976
VASP energy, eV/atom: -6.7491
Total moment, μB/f.u.: 17.000
Space-group type: C2/c (15)

=====

3.
Density functional theory data (PBE+U) for crystalline Rb2FeHgF6 at its relaxed geometry.

a = 6.4133 Å, b = 6.4133 Å, c = 6.4133 Å
α = 60.00°, β = 60.00°, γ = 60.00°
Closest atoms and distances in Å follow each position.
Element x y z (fractional)
1 Rb 0.2500 0.2500 0.2500  12 F 3.22
2 Rb 0.7500 0.7500 0.7500  12 F 3.22
3 Fe 0.0000 0.0000 0.0000  6 F 1.96
4 Hg 0.5000 0.5000 0.5000  6 F 2.57
5 F 0.2166 0.2166 0.7834  1 Fe 1.96
6 F 0.2166 0.7834 0.2166  1 Fe 1.96
7 F 0.2166 0.7834 0.7834  1 Fe 1.96
8 F 0.7834 0.2166 0.2166  1 Fe 1.96
9 F 0.7834 0.2166 0.7834  1 Fe 1.96
10 F 0.7834 0.7834 0.2166  1 Fe 1.96

## Properties
Energy with MP2020 corrections, eV/atom: -4.725
Formation energy, eV per atom: -2.503
VASP energy, eV/atom: -4.2222
Total moment, μB/f.u.: 4.072
Space-group type: Fm-3m (225)

=====

4.
Density functional theory data (PBE+U) for crystalline Li2VSi4O11 at its relaxed geometry.

a = 8.4507 Å, b = 8.4507 Å, c = 8.4507 Å
α = 102.34°, β = 102.34°, γ = 124.92°
Closest atoms and distances in Å follow each position.
Element x y z (fractional)
1 Li 0.1190 0.1483 0.2673  3 O 2.01-2.04
2 Li 0.1483 0.8810 0.0292  3 O 2.01-2.04
3 Li 0.8517 0.1190 0.9708  3 O 2.01-2.04
4 Li 0.8810 0.8517 0.7327  3 O 2.01-2.04
5 V 0.2618 0.2618 0.0000  6 O 1.86-2.05
6 V 0.7382 0.7382 0.0000  6 O 1.86-2.05
7 Si 0.0014 0.2839 0.6728  4 O 1.62-1.65
8 Si 0.2839 0.6111 0.2825  4 O 1.62-1.65
9 Si 0.3286 0.0014 0.7175  4 O 1.62-1.65
10 Si 0.3889 0.6714 0.6728  4 O 1.62-1.65
11 Si 0.6111 0.3286 0.3272  4 O 1.62-1.65
12 Si 0.6714 0.9986 0.2825  4 O 1.62-1.65
13 Si 0.7161 0.3889 0.7175  4 O 1.62-1.65
14 Si 0.9986 0.7161 0.3272  4 O 1.62-1.65
15 O 0.0000 0.0000 0.0000  4 Li 2.01, 2 V 2.05
16 O 0.0539 0.1568 0.7583  1 Si 1.62
17 O 0.0945 0.8278 0.5466  2 Si 1.64-1.65
18 O 0.1568 0.3985 0.1029  1 Si 1.62
19 O 0.1722 0.7188 0.2667  2 Si 1.64-1.65
20 O 0.2093 0.5328 0.7421  2 Si 1.63
21 O 0.2812 0.5479 0.4534  2 Si 1.64-1.65
22 O 0.2956 0.0539 0.8971  1 Si 1.62
23 O 0.3985 0.2956 0.2417  1 Si 1.62
24 O 0.4521 0.9055 0.7333  2 Si 1.64-1.65
25 O 0.4672 0.2093 0.6765  2 Si 1.63
26 O 0.5000 0.5000 0.0000  2 V 1.86
27 O 0.5328 0.7907 0.3235  2 Si 1.63
28 O 0.5479 0.0945 0.2667  2 Si 1.64-1.65
29 O 0.6015 0.7044 0.7583  1 Si 1.62
30 O 0.7044 0.9461 0.1029  1 Si 1.62
31 O 0.7188 0.4521 0.5466  2 Si 1.64-1.65
32 O 0.7907 0.4672 0.2579  2 Si 1.63
33 O 0.8278 0.2812 0.7333  2 Si 1.64-1.65
34 O 0.8432 0.6015 0.8971  1 Si 1.62
35 O 0.9055 0.1722 0.4534  2 Si 1.64-1.65
36 O 0.9461 0.8432 0.2417  1 Si 1.62

## Properties
Energy with MP2020 corrections, eV/atom: -7.899
Formation energy, eV per atom: -2.953
VASP energy, eV/atom: -7.3849
Total moment, μB/f.u.: 1.000
Space-group type: I4/m (87)

=====

5.
Density functional theory data (PBE+U) for crystalline Li3FeB2O6 at its relaxed geometry.

a = 5.1932 Å, b = 8.9146 Å, c = 11.0409 Å
α = 90.00°, β = 117.01°, γ = 90.00°
Closest atoms and distances in Å follow each position.
Element x y z (fractional)
1 Li 0.0104 0.0240 0.1673  4 O 1.93-2.11
2 Li 0.0104 0.4760 0.6673  4 O 1.93-2.11
3 Li 0.0495 0.6581 0.8803  4 O 1.99-2.12
4 Li 0.0495 0.8419 0.3803  4 O 1.99-2.12
5 Li 0.4252 0.0121 0.6013  3 O 1.96-1.99
6 Li 0.4252 0.4879 0.1013  3 O 1.96-1.99
7 Li 0.5748 0.5121 0.8987  3 O 1.96-1.99
8 Li 0.5748 0.9879 0.3987  3 O 1.96-1.99
9 Li 0.9505 0.1581 0.6197  4 O 1.99-2.12
10 Li 0.9505 0.3419 0.1197  4 O 1.99-2.12
11 Li 0.9896 0.5240 0.3327  4 O 1.93-2.11
12 Li 0.9896 0.9760 0.8327  4 O 1.93-2.11
13 Fe 0.4728 0.6732 0.6235  5 O 1.92-2.08
14 Fe 0.4728 0.8268 0.1235  5 O 1.92-2.08
15 Fe 0.5272 0.1732 0.8765  5 O 1.92-2.08
16 Fe 0.5272 0.3268 0.3765  5 O 1.92-2.08
17 B 0.0470 0.1767 0.3795  3 O 1.37-1.40
18 B 0.0470 0.3233 0.8795  3 O 1.37-1.40
19 B 0.4664 0.1644 0.1299  3 O 1.39-1.40
20 B 0.4664 0.3356 0.6299  3 O 1.39-1.40
21 B 0.5336 0.6644 0.3701  3 O 1.39-1.40
22 B 0.5336 0.8356 0.8701  3 O 1.39-1.40
23 B 0.9530 0.6767 0.1205  3 O 1.37-1.40
24 B 0.9530 0.8233 0.6205  3 O 1.37-1.40
25 O 0.1274 0.1828 0.8504  1 B 1.40
26 O 0.1274 0.3172 0.3504  1 B 1.40
27 O 0.1899 0.6677 0.0927  1 B 1.40
28 O 0.1899 0.8323 0.5927  1 B 1.40
29 O 0.1966 0.0497 0.3803  1 B 1.37
30 O 0.1966 0.4503 0.8803  1 B 1.37
31 O 0.3243 0.6721 0.4163  1 B 1.40
32 O 0.3243 0.8279 0.9163  1 B 1.40
33 O 0.3518 0.0266 0.1395  1 B 1.39
34 O 0.3518 0.4734 0.6395  1 B 1.39
35 O 0.3708 0.2071 0.6690  1 B 1.39
36 O 0.3708 0.2929 0.1690  1 B 1.39
37 O 0.6292 0.7071 0.8310  1 B 1.39
38 O 0.6292 0.7929 0.3310  1 B 1.39
39 O 0.6482 0.5266 0.3605  1 B 1.39
40 O 0.6482 0.9734 0.8605  1 B 1.39
41 O 0.6757 0.1721 0.0837  1 B 1.40
42 O 0.6757 0.3279 0.5837  1 B 1.40
43 O 0.8034 0.5497 0.1197  1 B 1.37
44 O 0.8034 0.9503 0.6197  1 B 1.37
45 O 0.8101 0.1677 0.4073  1 B 1.40
46 O 0.8101 0.3323 0.9073  1 B 1.40
47 O 0.8726 0.6828 0.6496  1 B 1.40
48 O 0.8726 0.8172 0.1496  1 B 1.40

## Properties
Energy with MP2020 corrections, eV/atom: -7.243
Formation energy, eV per atom: -2.473
VASP energy, eV/atom: -6.7115
Total moment, μB/f.u.: 5.000
Space-group type: P2_1/c (14)